The following is a PBE calculation of a relaxed structure of NbAlSiS2O12, from the Materials Project.

```
NbAlSiS2O12
1.0
-5.4567 -6.1207 -2.7492
8.4824 -0.7572 -1.5470
2.6441 -11.0114 19.2667
Nb Al Si S O
6 6 6 12 72
Cartesian
1.8155 -7.1292 12.2967
0.4820 -1.6362 2.6576
1.7845 -14.9568 16.4711
0.3351 -9.5941 6.7736
4.6656 -5.9532 3.9654
5.9989 -11.4463 13.6044
-4.3387 -9.9622 4.1461
2.2147 -9.6000 16.4152
1.0492 -11.9532 10.8740
-0.2520 -6.4241 1.2511
3.9267 -2.7539 -1.4680
5.1706 -8.3472 8.1260
-2.2843 -8.9778 1.7345
2.7216 -10.3513 13.2240
-0.6451 -12.6305 8.0948
1.1223 -3.6594 0.0180
8.6455 -12.7552 15.4329
5.6405 -9.1372 4.9516
-0.8131 -4.5405 4.0390
2.7385 -7.7275 1.7497
2.6227 -14.8460 10.6587
-1.8656 -12.7098 12.4760
-0.2168 -8.8250 10.1234
3.1667 -10.9349 8.4928
0.2254 -7.2455 -1.9564
-3.0026 -4.9612 -0.2475
4.7792 -14.4553 14.8648
5.3249 -10.6984 16.9606
2.5140 -6.8627 6.5771
6.5986 -5.4259 6.8142
-0.0474 -4.6144 5.2769
2.9841 -9.0362 2.3571
-3.1129 -9.4059 3.0199
2.4194 -10.1890 14.7746
3.5978 -15.3364 11.6336
-2.1401 -13.9504 13.1898
5.7198 -13.2867 9.7381
2.5585 -8.7954 12.5662
8.6738 -8.4494 12.0816
3.1453 -7.6620 0.3289
2.0134 -2.4182 3.3244
7.8032 -3.9612 1.8205
0.1666 -12.6049 9.4625
0.0557 -10.1307 10.7165
2.5197 -11.2610 9.7705
-0.1278 -7.2421 -0.5307
-2.0189 -5.4692 0.7040
0.7163 -4.9997 0.7721
0.0953 -3.4619 -1.2939
0.0315 -5.9107 -2.5787
-2.4013 -4.7353 -1.6025
0.2476 -8.7527 8.6993
2.1847 -10.4841 7.4734
-0.5045 -11.1234 7.3712
5.5516 -14.5494 16.0981
5.5269 -12.0255 17.5501
7.8617 -13.2385 16.7274
5.3931 -9.0189 6.5163
3.5039 -7.3061 7.5635
6.3453 -6.6705 7.5308
5.6596 -5.2312 5.6588
5.4941 -7.6337 4.2640
3.1514 -6.5695 5.2543
5.7236 -10.6730 15.5176
7.5487 -12.3177 14.2665
4.8774 -13.0972 14.2319
7.9802 -5.3038 6.3818
4.8047 -10.2131 4.1459
1.7777 -5.6943 7.0561
3.9392 -10.2583 17.1124
9.7592 -11.6445 15.6094
5.1252 -15.4949 13.9107
-2.2821 -12.5973 8.4868
0.6156 -7.7507 10.7998
3.8197 -12.1632 7.9370
1.6784 -7.5765 -2.1092
-4.0637 -6.0107 -0.5250
0.6018 -2.3739 0.9725
-0.4653 -12.5670 12.1133
1.8552 -11.3215 12.3199
1.9156 -13.6859 11.1905
1.3450 -7.3373 1.9358
-1.2319 -7.7956 1.7972
-0.5096 -5.6282 3.1236
3.2954 -14.5634 15.1909
0.7674 -15.8204 14.8665
0.8712 -13.3693 16.2785
-1.1916 -8.6945 6.2720
1.5426 -7.9622 6.2898
0.8051 -10.3680 4.9690
2.6004 -3.3714 -0.4668
4.8718 -2.1344 0.1056
4.8031 -4.5402 -1.2834
6.8705 -9.2098 8.7255
4.1789 -9.9004 8.7237
5.0502 -7.6122 9.7347
6.1853 -5.3332 2.8140
3.5989 -6.6664 2.4262
3.8597 -4.2355 3.8604
4.3428 -10.6823 13.0710
7.0358 -9.8000 13.1251
6.2169 -12.2865 11.7971
```

Output
Energy of formation from the pure elements = -2.52 eV/atom
Space-group type = No. 9
Uncorrected energy = -7.146 eV/atom
Energy with MP2020 corrections = -7.631 eV/atom